1.
Here is a relaxed Mn6BP crystal from the Materials Project database. Energies are from PBE.

Raw total energy = -69.53 eV/f.u.
Energy relative to the elements = -2.47 eV per formula unit
Calculated volume = 81.7 Å³/f.u.

abc: 4.2961 6.5872 6.4790
angles: 95.05 109.36 70.97
Last column: nearest neighbours and their distance in Å.
Sites, in units of the cell vectors:
Mn1 0.6567 0.3829 0.6807  2 B 2.21, 2 P 2.28-2.29, 2 Mn 2.35-2.43
Mn2 0.3589 0.6171 0.3193  2 B 2.21, 2 P 2.28-2.29, 2 Mn 2.35-2.43
Mn3 0.0159 0.3356 0.3892  2 B 2.20-2.22, 2 P 2.22-2.26, 1 Mn 2.42
Mn4 0.9623 0.6644 0.6108  2 B 2.20-2.22, 2 P 2.22-2.26, 1 Mn 2.42
Mn5 0.0670 0.3975 0.0407  2 B 2.14-2.34, 1 P 2.27
Mn6 0.4238 0.6025 0.9593  2 B 2.14-2.34, 1 P 2.27
Mn7 0.9733 0.9430 0.3840  1 B 2.21, 2 P 2.23-2.32, 3 Mn 2.35-2.47
Mn8 0.5324 0.0570 0.6160  1 B 2.21, 2 P 2.23-2.32, 3 Mn 2.35-2.47
Mn9 0.6826 0.1900 0.0174  1 B 2.16, 1 P 2.31, 1 Mn 2.38
Mn10 0.8551 0.8100 0.9826  1 B 2.16, 1 P 2.31, 1 Mn 2.38
Mn11 0.3447 0.9612 0.1840  1 B 2.23, 3 Mn 2.29-2.48, 1 P 2.33
Mn12 0.1219 0.0388 0.8160  1 B 2.23, 3 Mn 2.29-2.48, 1 P 2.33
B1 0.2158 0.3365 0.7517  9 Mn 2.14-2.34
B2 0.8006 0.6635 0.2483  9 Mn 2.14-2.34
P1 0.5366 0.2503 0.3344  9 Mn 2.22-2.33
P2 0.4524 0.7497 0.6656  9 Mn 2.22-2.33

2.
Here is a relaxed Rb2U3P6O25 crystal from the Materials Project database. Energies are from PBE.

Raw total energy = -283.07 eV/f.u.
Energy relative to the elements = -108.24 eV per formula unit
Calculated volume = 573.6 Å³/f.u.

abc: 16.6834 6.8993 20.1183
angles: 82.21 90.00 90.00
Last column: nearest neighbours and their distance in Å.
Sites, in units of the cell vectors:
Rb1 0.0773 0.2425 0.8693  7 O 3.03-3.35
Rb2 0.5773 0.7575 0.6307  7 O 3.03-3.35
Rb3 0.9227 0.7575 0.1307  7 O 3.03-3.35
Rb4 0.4227 0.2425 0.3693  7 O 3.03-3.35
Rb5 0.0687 0.3483 0.6204  6 O 2.95-3.27
Rb6 0.5687 0.6517 0.8796  6 O 2.95-3.27
Rb7 0.9313 0.6517 0.3796  6 O 2.95-3.27
Rb8 0.4313 0.3483 0.1204  6 O 2.95-3.27
U1 0.1652 0.7958 0.7479  2 O 1.81-1.82
U2 0.6652 0.2042 0.7521  2 O 1.81-1.82
U3 0.8348 0.2042 0.2521  2 O 1.81-1.82
U4 0.3348 0.7958 0.2479  2 O 1.81-1.82
U5 0.8839 0.6134 0.9021  2 O 1.80
U6 0.3839 0.3866 0.5979  2 O 1.80
U7 0.1161 0.3866 0.0979  2 O 1.80
U8 0.6161 0.6134 0.4021  2 O 1.80
U9 0.8920 0.7832 0.6013  2 O 1.81
U10 0.3920 0.2168 0.8987  2 O 1.81
U11 0.1080 0.2168 0.3987  2 O 1.81
U12 0.6080 0.7832 0.1013  2 O 1.81
P1 0.8592 0.3042 0.5407  4 O 1.50-1.63
P2 0.3592 0.6958 0.9593  4 O 1.50-1.63
P3 0.1408 0.6958 0.4593  4 O 1.50-1.63
P4 0.6408 0.3042 0.0407  4 O 1.50-1.63
P5 0.1802 0.6653 0.9311  4 O 1.49-1.62
P6 0.6802 0.3347 0.5689  4 O 1.49-1.62
P7 0.8198 0.3347 0.0689  4 O 1.49-1.62
P8 0.3199 0.6653 0.4311  4 O 1.49-1.62
P9 0.1758 0.9468 0.5594  4 O 1.50-1.62
P10 0.6758 0.0532 0.9406  4 O 1.50-1.62
P11 0.8242 0.0532 0.4406  4 O 1.50-1.62
P12 0.3242 0.9468 0.0594  4 O 1.50-1.62
P13 0.8558 0.0774 0.9694  4 O 1.50-1.64
P14 0.3558 0.9226 0.5306  4 O 1.50-1.64
P15 0.1442 0.9226 0.0306  4 O 1.50-1.64
P16 0.6442 0.0774 0.4694  4 O 1.50-1.64
P17 0.9471 0.9619 0.7586  4 O 1.52-1.63
P18 0.4471 0.0381 0.7414  4 O 1.52-1.63
P19 0.0529 0.0381 0.2414  4 O 1.52-1.63
P20 0.5529 0.9619 0.2586  4 O 1.52-1.63
P21 0.8826 0.3787 0.7458  4 O 1.53-1.64
P22 0.3826 0.6213 0.7542  4 O 1.53-1.64
P23 0.1174 0.6213 0.2542  4 O 1.53-1.64
P24 0.6174 0.3787 0.2458  4 O 1.53-1.64
O1 0.1626 0.4928 0.9823  1 P 1.49
O2 0.6626 0.5072 0.5177  1 P 1.49
O3 0.8374 0.5072 0.0177  1 P 1.49
O4 0.3374 0.4928 0.4823  1 P 1.49
O5 0.1629 0.7350 0.5351  2 P 1.62-1.63
O6 0.6629 0.2650 0.9649  2 P 1.62-1.63
O7 0.8371 0.2650 0.4649  2 P 1.62-1.63
O8 0.3371 0.7350 0.0351  2 P 1.62-1.63
O9 0.1242 0.1001 0.5207  1 P 1.50
O10 0.6242 0.8999 0.9793  1 P 1.50
O11 0.8758 0.8999 0.4793  1 P 1.50
O12 0.3758 0.1001 0.0207  1 P 1.50
O13 0.9094 0.1406 0.5754  1 P 1.50
O14 0.4094 0.8594 0.9246  1 P 1.50
O15 0.0906 0.8594 0.4246  1 P 1.50
O16 0.5906 0.1406 0.0754  1 P 1.50
O17 0.8981 0.4950 0.6768  1 P 1.53
O18 0.3981 0.5050 0.8232  1 P 1.53
O19 0.1019 0.5050 0.3232  1 P 1.53
O20 0.6019 0.4950 0.1768  1 P 1.53
O21 0.8540 0.1351 0.0456  2 P 1.62-1.64
O22 0.3540 0.8649 0.4544  2 P 1.62-1.64
O23 0.1460 0.8649 0.9544  2 P 1.62-1.64
O24 0.6460 0.1351 0.5456  2 P 1.62-1.64
O25 0.8913 0.5086 0.5339  1 P 1.50
O26 0.3913 0.4914 0.9661  1 P 1.50
O27 0.1087 0.4914 0.4661  1 P 1.50
O28 0.6087 0.5086 0.0339  1 P 1.50
O29 0.9481 0.2001 0.7504  2 P 1.63-1.64
O30 0.4481 0.7999 0.7496  2 P 1.63-1.64
O31 0.0519 0.7999 0.2496  2 P 1.63-1.64
O32 0.5519 0.2001 0.2504  2 P 1.63-1.64
O33 0.1937 0.0280 0.7727  1 U 1.81
O34 0.6937 0.9720 0.7273  1 U 1.81
O35 0.8063 0.9720 0.2273  1 U 1.81
O36 0.3063 0.0280 0.2727  1 U 1.81
O37 0.9079 0.4905 0.8028  1 P 1.53
O38 0.4079 0.5095 0.6972  1 P 1.53
O39 0.0921 0.5095 0.1972  1 P 1.53
O40 0.5921 0.4905 0.3028  1 P 1.53
O41 0.1513 0.6606 0.8603  1 P 1.51
O42 0.6513 0.3394 0.6397  1 P 1.51
O43 0.8487 0.3394 0.1397  1 P 1.51
O44 0.3487 0.6606 0.3603  1 P 1.51
O45 0.0000 0.7706 0.5957  1 U 1.81
O46 0.5000 0.2294 0.9043  1 U 1.81
O47 0.0000 0.2294 0.4043  1 U 1.81
O48 0.5000 0.7706 0.0957  1 U 1.81
O49 0.8974 0.9040 0.7010  1 P 1.52
O50 0.3974 0.0960 0.7990  1 P 1.52
O51 0.1026 0.0960 0.2990  1 P 1.52
O52 0.6026 0.9040 0.2010  1 P 1.52
O53 0.1313 0.5616 0.7267  1 U 1.82
O54 0.6313 0.4384 0.7733  1 U 1.82
O55 0.8687 0.4384 0.2733  1 U 1.82
O56 0.3687 0.5616 0.2267  1 U 1.82
O57 0.7785 0.6439 0.8839  1 U 1.80
O58 0.2785 0.3561 0.6161  1 U 1.80
O59 0.2215 0.3561 0.1161  1 U 1.80
O60 0.7215 0.6439 0.3839  1 U 1.80
O61 0.7838 0.7925 0.6043  1 U 1.81
O62 0.2838 0.2075 0.8957  1 U 1.81
O63 0.2162 0.2075 0.3957  1 U 1.81
O64 0.7162 0.7925 0.1043  1 U 1.81
O65 0.9061 0.8969 0.9717  1 P 1.50
O66 0.4061 0.1031 0.5283  1 P 1.50
O67 0.0939 0.1031 0.0283  1 P 1.50
O68 0.5939 0.8969 0.4717  1 P 1.50
O69 0.1691 0.9204 0.6346  1 P 1.50
O70 0.6691 0.0796 0.8654  1 P 1.50
O71 0.8309 0.0796 0.3654  1 P 1.50
O72 0.3309 0.9204 0.1346  1 P 1.50
O73 0.7978 0.2931 0.7532  1 P 1.53
O74 0.2978 0.7069 0.7468  1 P 1.53
O75 0.2022 0.7069 0.2468  1 P 1.53
O76 0.7022 0.2931 0.2532  1 P 1.53
O77 0.9886 0.5730 0.9222  1 U 1.80
O78 0.4886 0.4270 0.5778  1 U 1.80
O79 0.0114 0.4270 0.0778  1 U 1.80
O80 0.5114 0.5730 0.4222  1 U 1.80
O81 0.9126 0.8923 0.8278  1 P 1.52
O82 0.4126 0.1077 0.6722  1 P 1.52
O83 0.0874 0.1077 0.1722  1 P 1.52
O84 0.5874 0.8923 0.3278  1 P 1.52
O85 0.7738 0.2903 0.5774  2 P 1.60
O86 0.2738 0.7097 0.9226  2 P 1.60
O87 0.2262 0.7097 0.4226  2 P 1.60
O88 0.7262 0.2903 0.0774  2 P 1.60
O89 0.2659 0.9975 0.5387  2 P 1.59-1.60
O90 0.7659 0.0025 0.9613  2 P 1.59-1.60
O91 0.7341 0.0025 0.4613  2 P 1.59-1.60
O92 0.2341 0.9975 0.0387  2 P 1.59-1.60
O93 0.0366 0.9124 0.7534  1 P 1.54
O94 0.5366 0.0876 0.7466  1 P 1.54
O95 0.9634 0.0876 0.2466  1 P 1.54
O96 0.4634 0.9124 0.2534  1 P 1.54
O97 0.8736 0.2576 0.9215  1 P 1.50
O98 0.3736 0.7424 0.5785  1 P 1.50
O99 0.1264 0.7424 0.0785  1 P 1.50
O100 0.6264 0.2576 0.4215  1 P 1.50

3.
Here is a relaxed Ce2MgSe4 crystal from the Materials Project database. Energies are from PBE.

Raw total energy = -38.55 eV/f.u.
Energy relative to the elements = -12.99 eV per formula unit
Calculated volume = 172.1 Å³/f.u.
Relative energy among the computed polymorphs = 0.012 eV per atom

abc: 7.6551 7.6551 7.6551
angles: 111.42 111.42 105.64
Last column: nearest neighbours and their distance in Å.
Sites, in units of the cell vectors:
Ce1 0.8750 0.7550 0.3800  6 Se 2.89-3.12
Ce2 0.5050 0.1250 0.8800  6 Se 2.89-3.12
Ce3 0.3750 0.4950 0.6200  6 Se 2.89-3.12
Ce4 0.2450 0.6250 0.1200  6 Se 2.89-3.12
Mg1 0.0000 0.0000 0.0000  4 Se 2.73
Mg2 0.7500 0.2500 0.5000  4 Se 2.73
Se1 0.5041 0.3763 0.2675  1 Mg 2.73, 2 Ce 2.89-3.03
Se2 0.7634 0.4959 0.8722  1 Mg 2.73, 2 Ce 2.89-3.03
Se3 0.1088 0.2366 0.7325  1 Mg 2.73, 2 Ce 2.89-3.03
Se4 0.6237 0.8912 0.1278  1 Mg 2.73, 2 Ce 2.89-3.03
Se5 0.2459 0.0134 0.3722  1 Mg 2.73, 2 Ce 2.89-3.03
Se6 0.9866 0.3588 0.2325  1 Mg 2.73, 2 Ce 2.89-3.03
Se7 0.6412 0.8737 0.6278  1 Mg 2.73, 2 Ce 2.89-3.03
Se8 0.1263 0.7541 0.7675  1 Mg 2.73, 2 Ce 2.89-3.03